Fe2OF3: relaxed, GGA+U.

Properties
- E (MP2020): -6.888 eV/atom
- Energy above the lowest structure with this stoichiometry: 38.0 meV per atom
- DFT total energy: -5.791 eV/atom
- Space group: C2, No. 5
- Magnetization: 27.00 Bohr magnetons per cell
- ΔH_f (0 K): -2283 meV/atom

abc: 5.7772 5.7772 7.6327
angles: 70.28 70.28 72.13
With the nearest neighbours (Å) after each atom.
Fractional coordinates of all 18 atoms:
F: 0.6294 0.0353 0.6662  3 Fe 2.07-2.18
Fe: 0.3100 0.3542 0.6670  1 O 2.05, 5 F 2.10-2.17
F: 0.7687 0.7624 0.0308  3 Fe 2.07-2.11
Fe: 0.0214 0.9786 0.5000  2 O 1.90, 2 F 2.06
F: 0.8965 0.9109 0.3032  3 Fe 2.06-2.12
F: 0.0891 0.1035 0.6968  3 Fe 2.06-2.12
F: 0.7105 0.2895 0.0000  3 Fe 2.10-2.19
F: 0.5702 0.5660 0.6359  3 Fe 2.06-2.12
Fe: 0.0317 0.9683 0.0000  1 O 2.05, 5 F 2.11-2.19
F: 0.9647 0.3706 0.3338  3 Fe 2.07-2.18
F: 0.2376 0.2313 0.9692  3 Fe 2.07-2.11
Fe: 0.3348 0.3318 0.1673  2 O 1.93, 4 F 2.06-2.10
O: 0.3473 0.9928 0.3299  3 Fe 1.90-2.05
Fe: 0.6682 0.6652 0.8327  2 O 1.93, 4 F 2.06-2.10
F: 0.4340 0.4298 0.3641  3 Fe 2.06-2.12
O: 0.3330 0.6670 0.0000  3 Fe 1.93-2.05
O: 0.0072 0.6527 0.6701  3 Fe 1.90-2.05
Fe: 0.6458 0.6900 0.3330  1 O 2.05, 5 F 2.10-2.17

---

Fe10O11F9: relaxed, GGA+U.

Properties
- E (MP2020): -7.173 eV/atom
- Energy above the lowest structure with this stoichiometry: 3.5 meV per atom
- DFT total energy: -6.030 eV/atom
- Space group: P1, No. 1
- Magnetization: 49.00 Bohr magnetons per cell
- ΔH_f (0 K): -1961 meV/atom

abc: 4.7443 4.7434 15.3882
angles: 90.06 89.99 90.72
With the nearest neighbours (Å) after each atom.
Fractional coordinates of all 30 atoms:
Fe: 0.9892 0.9860 0.0005  4 O 1.96-2.04, 2 F 2.10
O: 0.6914 0.6847 0.0016  3 Fe 1.96-2.00
Fe: 0.4597 0.4971 0.7030  3 O 1.91-1.96, 1 F 2.11
F: 0.7015 0.7075 0.6009  3 Fe 2.07-2.18
Fe: 0.9889 0.9458 0.3986  3 O 1.94, 2 F 2.13-2.14
F: 0.7999 0.1978 0.3006  3 Fe 2.08-2.21
Fe: 0.5239 0.4552 0.0943  4 O 1.95-1.97, 1 F 2.16
F: 0.6960 0.7081 0.7999  3 Fe 2.11-2.18
F: 0.8076 0.2080 0.6997  3 Fe 2.15-2.16
O: 0.8231 0.1773 0.1016  3 Fe 1.94-1.97
F: 0.2092 0.7927 0.1023  3 Fe 2.04-2.21
F: 0.7090 0.6985 0.1992  3 Fe 2.03-2.17
O: 0.3137 0.3175 0.5992  3 Fe 1.93-1.96
F: 0.7961 0.1978 0.8975  3 Fe 2.10-2.19
O: 0.1844 0.8126 0.9023  3 Fe 1.92-1.96
O: 0.3027 0.3173 0.8033  3 Fe 1.91-2.00
O: 0.6733 0.6810 0.3982  3 Fe 1.94-1.97
Fe: 0.0483 0.0017 0.6001  3 O 1.93-1.95, 2 F 2.14-2.15
Fe: 0.4654 0.5136 0.9074  4 O 1.96-2.00, 2 F 2.18-2.19
O: 0.2975 0.2897 0.0013  3 Fe 1.95-2.04
Fe: 0.0322 0.0274 0.1990  3 O 1.92-1.96, 2 F 2.04-2.08
Fe: 0.4821 0.5181 0.5001  3 O 1.95-1.97, 3 F 2.07-2.17
O: 0.3246 0.3120 0.1980  3 Fe 1.92-1.97
Fe: 0.4755 0.5272 0.2967  3 O 1.94-1.96, 2 F 2.03-2.10
O: 0.1850 0.8118 0.2966  3 Fe 1.94-1.96
O: 0.1884 0.8032 0.4990  3 Fe 1.94-1.95
O: 0.2029 0.8180 0.7010  3 Fe 1.93-1.96
F: 0.8002 0.1944 0.4986  3 Fe 2.14-2.17
Fe: 0.0415 0.0001 0.8014  3 O 1.92-1.94, 2 F 2.11-2.13
F: 0.2869 0.2977 0.3983  3 Fe 2.09-2.17

---

Fe2O3F: relaxed, GGA+U.

Properties
- E (MP2020): -7.281 eV/atom
- Energy above the lowest structure with this stoichiometry: 9.0 meV per atom
- DFT total energy: -6.108 eV/atom
- Space group: Amm2, No. 38
- Magnetization: 45.01 Bohr magnetons per cell
- ΔH_f (0 K): -1664 meV/atom

abc: 4.7004 4.7004 15.0480
angles: 90.00 90.00 94.34
With the nearest neighbours (Å) after each atom.
Fractional coordinates of all 30 atoms:
Fe: 0.0122 0.9878 0.5000  4 O 1.94-1.96, 2 F 2.07
O: 0.3139 0.3025 0.9001  3 Fe 1.94-1.97
Fe: 0.4708 0.5292 0.6001  5 O 1.95-2.00
O: 0.6842 0.7047 0.5000  3 Fe 1.96
F: 0.8005 0.1995 0.4021  3 Fe 2.06-2.27
O: 0.3139 0.3025 0.0999  3 Fe 1.94-1.97
O: 0.3063 0.3080 0.7000  3 Fe 1.94-1.96
O: 0.6975 0.6861 0.0999  3 Fe 1.94-1.97
Fe: 0.9853 0.0147 0.8998  4 O 1.92-1.97, 2 F 2.07-2.09
Fe: 0.9853 0.0147 0.1002  4 O 1.92-1.97, 2 F 2.07-2.09
F: 0.1963 0.8037 0.8016  3 Fe 2.04-2.28
O: 0.2953 0.3158 0.5000  3 Fe 1.96
O: 0.6975 0.6861 0.9001  3 Fe 1.94-1.97
Fe: 0.9995 0.0005 0.3001  4 O 1.91-1.96, 2 F 2.04-2.06
F: 0.1963 0.8037 0.1984  3 Fe 2.04-2.28
O: 0.8128 0.1872 0.0000  3 Fe 1.92-2.00
Fe: 0.5265 0.4735 0.2009  5 O 1.94-2.02
O: 0.1801 0.8199 0.6030  3 Fe 1.92-2.00
O: 0.3063 0.3080 0.3000  3 Fe 1.94-1.96
O: 0.6920 0.6937 0.7000  3 Fe 1.94-1.96
O: 0.8199 0.1801 0.7968  3 Fe 1.91-2.02
Fe: 0.9995 0.0005 0.6999  4 O 1.91-1.96, 2 F 2.04-2.06
O: 0.8199 0.1801 0.2032  3 Fe 1.91-2.02
O: 0.6920 0.6937 0.3000  3 Fe 1.94-1.96
F: 0.8005 0.1995 0.5979  3 Fe 2.06-2.27
F: 0.1956 0.8044 0.0000  3 Fe 2.09-2.26
O: 0.1801 0.8199 0.3970  3 Fe 1.92-2.00
Fe: 0.5229 0.4771 0.0000  5 O 1.94-2.00
Fe: 0.4708 0.5292 0.3999  5 O 1.95-2.00
Fe: 0.5265 0.4735 0.7991  5 O 1.94-2.02

---

Fe4OF7: relaxed, GGA+U.

Properties
- E (MP2020): -6.767 eV/atom
- Energy above the lowest structure with this stoichiometry: 4.2 meV per atom
- DFT total energy: -5.688 eV/atom
- Space group: P2_1, No. 4
- Magnetization: 34.00 Bohr magnetons per cell
- ΔH_f (0 K): -2414 meV/atom

abc: 4.8117 6.5224 10.1401
angles: 71.50 90.00 90.00
With the nearest neighbours (Å) after each atom.
Fractional coordinates of all 24 atoms:
Fe: 0.5002 0.1879 0.8797  6 F 2.01-2.16
F: 0.1988 0.1093 0.0236  3 Fe 2.01-2.15
O: 0.3101 0.2209 0.2817  2 Fe 1.84-2.00
Fe: 0.0208 0.3115 0.1326  1 O 2.00, 5 F 2.08-2.22
F: 0.6988 0.8907 0.9764  3 Fe 2.01-2.15
Fe: 0.0002 0.8121 0.1203  6 F 2.01-2.16
F: 0.2138 0.6174 0.0195  3 Fe 2.08-2.17
F: 0.2967 0.7541 0.2775  3 Fe 2.05-2.19
F: 0.7957 0.0042 0.2302  2 Fe 1.98-2.16
F: 0.2957 0.9958 0.7698  2 Fe 1.98-2.16
O: 0.8101 0.7791 0.7183  2 Fe 1.84-2.00
Fe: 0.9846 0.5652 0.6288  5 F 2.05-2.24, 1 O 2.07
F: 0.7138 0.3826 0.9805  3 Fe 2.08-2.17
F: 0.3021 0.4825 0.7709  3 Fe 2.05-2.17
Fe: 0.5208 0.6885 0.8674  1 O 2.00, 5 F 2.08-2.22
F: 0.7967 0.2459 0.7225  3 Fe 2.05-2.19
Fe: 0.4860 0.9622 0.3641  1 O 1.84, 3 F 1.98-2.05
F: 0.1788 0.3451 0.5315  3 Fe 2.13-2.19
Fe: 0.9860 0.0378 0.6359  1 O 1.84, 3 F 1.98-2.05
F: 0.8021 0.5175 0.2291  3 Fe 2.05-2.17
F: 0.6788 0.6549 0.4685  3 Fe 2.13-2.19
F: 0.2126 0.8750 0.5258  3 Fe 2.04-2.24
F: 0.7126 0.1250 0.4742  3 Fe 2.04-2.24
Fe: 0.4846 0.4348 0.3712  5 F 2.05-2.24, 1 O 2.07

---

Fe5O2F8: relaxed, GGA+U.

Properties
- E (MP2020): -6.821 eV/atom
- Energy above the lowest structure with this stoichiometry: 15.6 meV per atom
- DFT total energy: -5.731 eV/atom
- Space group: P1, No. 1
- Magnetization: 44.00 Bohr magnetons per cell
- ΔH_f (0 K): -2317 meV/atom

abc: 4.8280 8.0086 10.1731
angles: 70.65 87.93 88.55
With the nearest neighbours (Å) after each atom.
Fractional coordinates of all 30 atoms:
Fe: 0.9672 0.8074 0.6103  1 O 1.85, 4 F 1.99-2.07
Fe: 0.0070 0.6144 0.1990  1 O 2.02, 5 F 2.04-2.20
F: 0.6756 0.6662 0.3348  3 Fe 2.07-2.20
F: 0.8007 0.7543 0.0243  3 Fe 2.04-2.16
Fe: 0.5124 0.1052 0.7032  2 O 1.88-1.96, 3 F 2.00-2.10
Fe: 0.4951 0.2997 0.1033  1 O 2.08, 5 F 2.09-2.18
F: 0.8003 0.1514 0.8261  3 Fe 2.02-2.19
F: 0.7209 0.2455 0.5161  3 Fe 2.05-2.25
F: 0.1872 0.0374 0.5742  3 Fe 2.07-2.27
F: 0.3042 0.5483 0.0643  3 Fe 2.06-2.13
F: 0.8112 0.9607 0.4221  2 Fe 2.06-2.08
F: 0.1829 0.6481 0.7678  3 Fe 1.99-2.20
O: 0.6921 0.8794 0.7118  3 Fe 1.85-2.05
F: 0.7066 0.4501 0.9177  3 Fe 2.10-2.14
F: 0.8117 0.3587 0.2285  3 Fe 1.99-2.20
Fe: 0.5172 0.7032 0.8888  1 O 2.05, 5 F 2.06-2.20
F: 0.2863 0.7541 0.4854  3 Fe 2.08-2.21
O: 0.3080 0.1352 0.2869  2 Fe 1.83-1.94
O: 0.2034 0.8403 0.1851  3 Fe 1.81-2.02
Fe: 0.0174 0.9920 0.0132  1 O 2.00, 5 F 2.07-2.19
F: 0.6982 0.0506 0.1335  3 Fe 2.02-2.13
F: 0.8146 0.5755 0.6168  3 Fe 1.99-2.20
Fe: 0.0217 0.1962 0.3862  1 O 1.83, 3 F 1.99-2.05
O: 0.3217 0.3201 0.6777  3 Fe 1.88-2.01
F: 0.2005 0.2384 0.9800  3 Fe 2.07-2.10
Fe: 0.4463 0.9046 0.2909  2 O 1.81-1.94, 1 F 2.02
F: 0.1826 0.4315 0.3778  3 Fe 2.03-2.20
F: 0.2975 0.9503 0.8681  3 Fe 2.00-2.17
Fe: 0.4850 0.4940 0.5112  1 O 1.96, 2 F 2.07-2.18
Fe: 0.0246 0.3875 0.7949  1 O 2.01, 5 F 2.07-2.20

---

Fe2O3F: relaxed, GGA+U.

Properties
- E (MP2020): -7.250 eV/atom
- Energy above the lowest structure with this stoichiometry: 39.4 meV per atom
- DFT total energy: -6.078 eV/atom
- Space group: Pmc2_1, No. 26
- Magnetization: 18.00 Bohr magnetons per cell
- ΔH_f (0 K): -1634 meV/atom

abc: 3.0118 4.7496 9.9001
angles: 90.00 90.00 90.00
With the nearest neighbours (Å) after each atom.
Fractional coordinates of all 12 atoms:
O: 0.0000 0.0658 0.2152  3 Fe 1.95-1.96
O: 0.0000 0.4238 0.0372  3 Fe 1.96-2.02
F: 0.5000 0.9998 0.4546  3 Fe 2.08-2.29
Fe: 0.0000 0.7756 0.3566  4 O 1.93-2.02, 2 F 2.08
Fe: 0.0000 0.2244 0.8566  4 O 1.93-2.02, 2 F 2.08
O: 0.5000 0.4264 0.7818  3 Fe 1.93-1.96
Fe: 0.5000 0.7205 0.6426  5 O 1.95-1.96
O: 0.0000 0.9342 0.7152  3 Fe 1.95-1.96
O: 0.0000 0.5762 0.5372  3 Fe 1.96-2.02
F: 0.5000 0.0002 0.9546  3 Fe 2.08-2.29
Fe: 0.5000 0.2795 0.1426  5 O 1.95-1.96
O: 0.5000 0.5736 0.2818  3 Fe 1.93-1.96